Entry 1:
Here is CsNaTe after structural relaxation from Materials Project. Energies are from PBE.

**Energy of formation**: -1.15 eV per atom
**Space group**: P4/nmm (129)
**Crystal system**: tetragonal

Unit cell a=5.3608 b=5.3608 c=8.6769 alpha=90.00 beta=90.00 gamma=90.00
Sites, in units of the cell vectors:
Cs 0.5000 0.0000 0.6579
Cs 0.0000 0.5000 0.3421
Na 0.5000 0.5000 0.0000
Na 0.0000 0.0000 0.0000
Te 0.5000 0.0000 0.2004
Te 0.0000 0.5000 0.7996



Entry 2:
Here is Cs2NpBr6 after structural relaxation from Materials Project. Energies are from PBE.

**Energy of formation**: -1.97 eV per atom
**Space group**: Fm-3m (225)
**Crystal system**: cubic

Unit cell a=8.0266 b=8.0266 c=8.0266 alpha=60.00 beta=60.00 gamma=60.00
Sites, in units of the cell vectors:
Cs 0.2500 0.2500 0.2500
Cs 0.7500 0.7500 0.7500
Np 0.0000 0.0000 0.0000
Br 0.7558 0.2442 0.7558
Br 0.2442 0.7558 0.2442
Br 0.7558 0.7558 0.2442
Br 0.2442 0.2442 0.7558
Br 0.7558 0.2442 0.2442
Br 0.2442 0.7558 0.7558



Entry 3:
Here is SrCaYSbO6 after structural relaxation from Materials Project. Energies are from PBE.

**Size of the total moment**: 0.0 μB/f.u.
**Energy of formation**: -2.98 eV per atom
**Space group**: F-43m (216)
**Crystal system**: cubic

Unit cell a=5.9100 b=5.9100 c=5.9100 alpha=60.00 beta=60.00 gamma=60.00
Sites, in units of the cell vectors:
Sr 0.7500 0.7500 0.7500
Ca 0.2500 0.2500 0.2500
Y 0.5000 0.5000 0.5000
Sb 0.0000 0.0000 0.0000
O 0.7626 0.2374 0.2374
O 0.2374 0.7626 0.7626
O 0.7626 0.2374 0.7626
O 0.2374 0.7626 0.2374
O 0.7626 0.7626 0.2374
O 0.2374 0.2374 0.7626